Model one:
Entry from the Materials Project: an optimized crystal structure of LiSbP4O12 (PBE).

## Properties
Size of the total moment (μB per atom): 0.00
V (Å³ per atom): 13.5

Cell lengths 7.246, 8.817, 16.830 Å; angles 90.00, 114.94, 90.00 degrees
Space group P2_1/c (No. 14)
Unique sites:
1 Li 0.152 0.099 0.136
2 Sb 0.304 0.664 0.897
3 P 0.155 0.036 0.787
4 P 0.156 0.747 0.569
5 P 0.266 0.240 0.437
6 P 0.460 0.535 0.203
7 O 0.025 0.596 0.793
8 O 0.034 0.202 0.410
9 O 0.096 0.735 0.972
10 O 0.109 0.592 0.335
11 O 0.236 0.600 0.613
12 O 0.260 0.173 0.852
13 O 0.298 0.609 0.114
14 O 0.330 0.516 0.260
15 O 0.365 0.134 0.248
16 O 0.366 0.087 0.438
17 O 0.367 0.168 0.018
18 O 0.497 0.619 0.827



Model two:
Entry from the Materials Project: an optimized crystal structure of LiSbP4O12 (PBE).

## Properties
Size of the total moment (μB per atom): 0.00
V (Å³ per atom): 13.9

Cell lengths 10.356, 9.352, 12.581 Å; angles 90.00, 124.89, 90.00 degrees
Space group P2_1/c (No. 14)
Unique sites:
1 Li 0.137 0.054 0.110
2 Sb 0.189 0.703 0.992
3 P 0.107 0.112 0.849
4 P 0.202 0.159 0.536
5 P 0.292 0.608 0.310
6 P 0.488 0.506 0.228
7 O 0.023 0.687 0.771
8 O 0.062 0.011 0.916
9 O 0.111 0.233 0.579
10 O 0.139 0.020 0.460
11 O 0.187 0.660 0.172
12 O 0.225 0.041 0.821
13 O 0.229 0.233 0.951
14 O 0.334 0.705 0.420
15 O 0.343 0.534 0.701
16 O 0.381 0.136 0.659
17 O 0.426 0.622 0.124
18 O 0.455 0.550 0.334



Which of them is the least stable? Correct choice: model one.



Model one:
Entry from the Materials Project: an optimized crystal structure of Li3Sb3P4O16 (PBE).

## Properties
Size of the total moment (μB per atom): 0.00
V (Å³ per atom): 13.0

Cell lengths 6.787, 11.309, 9.122 Å; angles 90.00, 104.95, 90.00 degrees
Space group P2_1 (No. 4)
Unique sites:
1 Li 0.082 0.000 0.152
2 Li 0.180 0.690 0.420
3 Li 0.325 0.897 0.584
4 Sb 0.082 0.413 0.208
5 Sb 0.365 0.619 0.825
6 Sb 0.390 0.187 0.762
7 P 0.084 0.716 0.110
8 P 0.135 0.417 0.583
9 P 0.356 0.169 0.386
10 P 0.480 0.897 0.906
11 O 0.016 0.838 0.034
12 O 0.058 0.845 0.465
13 O 0.059 0.175 0.790
14 O 0.098 0.619 0.993
15 O 0.124 0.502 0.719
16 O 0.168 0.249 0.309
17 O 0.176 0.494 0.452
18 O 0.266 0.879 0.797
19 O 0.296 0.734 0.230
20 O 0.317 0.107 0.528
21 O 0.334 0.342 0.648
22 O 0.370 0.071 0.264
23 O 0.391 0.440 0.204
24 O 0.436 0.282 0.010
25 O 0.439 0.735 0.579
26 O 0.474 0.997 0.023



Model two:
Entry from the Materials Project: an optimized crystal structure of Li3Sb3P4O16 (PBE).

## Properties
Size of the total moment (μB per atom): 0.00
V (Å³ per atom): 14.3

Cell lengths 9.203, 9.258, 13.116 Å; angles 94.41, 90.67, 90.73 degrees
Space group P1 (No. 1)
Unique sites:
1 Li 0.000 0.000 0.000
2 Li 0.001 0.654 0.666
3 Li 0.004 0.354 0.340
4 Li 0.230 0.822 0.040
5 Li 0.238 0.480 0.702
6 Li 0.498 0.296 0.038
7 Li 0.504 0.648 0.371
8 Li 0.732 0.178 0.674
9 Li 0.739 0.818 0.332
10 Sb 0.078 0.074 0.664
11 Sb 0.111 0.720 0.351
12 Sb 0.151 0.408 0.037
13 Sb 0.260 0.111 0.384
14 Sb 0.468 0.961 0.723
15 Sb 0.610 0.916 0.017
16 Sb 0.635 0.563 0.689
17 Sb 0.655 0.245 0.334
18 Sb 0.762 0.513 0.978
19 P 0.297 0.107 0.917
20 P 0.308 0.415 0.254
21 P 0.335 0.733 0.570
22 P 0.413 0.580 0.917
23 P 0.416 0.895 0.235
24 P 0.432 0.261 0.587
25 P 0.807 0.544 0.459
26 P 0.809 0.225 0.122
27 P 0.830 0.896 0.788
28 P 0.905 0.742 0.130
29 P 0.910 0.071 0.457
30 P 0.939 0.370 0.787
31 O 0.015 0.180 0.412
32 O 0.020 0.825 0.077
33 O 0.034 0.474 0.734
34 O 0.192 0.537 0.252
35 O 0.204 0.001 0.969
36 O 0.216 0.654 0.623
37 O 0.224 0.296 0.314
38 O 0.243 0.269 0.932
39 O 0.256 0.844 0.252
40 O 0.264 0.584 0.981
41 O 0.279 0.287 0.623
42 O 0.288 0.072 0.796
43 O 0.324 0.905 0.599
44 O 0.327 0.353 0.140
45 O 0.331 0.706 0.453
46 O 0.386 0.532 0.805
47 O 0.417 0.063 0.273
48 O 0.435 0.201 0.470
49 O 0.436 0.886 0.117
50 O 0.453 0.457 0.304
51 O 0.459 0.110 0.950
52 O 0.479 0.736 0.930
53 O 0.495 0.707 0.611
54 O 0.514 0.474 0.971
55 O 0.516 0.145 0.649
56 O 0.532 0.817 0.290
57 O 0.533 0.394 0.592
58 O 0.699 0.097 0.131
59 O 0.708 0.644 0.406
60 O 0.720 0.336 0.059
61 O 0.720 0.993 0.736
62 O 0.743 0.779 0.103
63 O 0.757 0.379 0.440
64 O 0.760 0.070 0.397
65 O 0.777 0.367 0.753
66 O 0.787 0.733 0.771
67 O 0.806 0.578 0.579
68 O 0.829 0.296 0.236
69 O 0.851 0.943 0.901
70 O 0.885 0.122 0.573
71 O 0.911 0.574 0.096
72 O 0.922 0.759 0.249
73 O 0.945 0.407 0.907
74 O 0.955 0.189 0.076
75 O 0.966 0.545 0.421
76 O 0.971 0.917 0.451
77 O 0.981 0.904 0.727
78 O 0.993 0.209 0.774



Which of them is the least stable? Correct choice: model one.



Model one:
Entry from the Materials Project: an optimized crystal structure of Li3Sb3P4O16 (PBE).

## Properties
Size of the total moment (μB per atom): 0.00
V (Å³ per atom): 14.0

Cell lengths 8.977, 9.108, 13.375 Å; angles 89.15, 89.70, 88.62 degrees
Space group P1 (No. 1)
Unique sites:
1 Li 0.000 0.000 0.000
2 Li 0.075 0.861 0.682
3 Li 0.167 0.160 0.668
4 Li 0.247 0.333 0.340
5 Li 0.367 0.837 0.006
6 Li 0.536 0.324 0.678
7 Li 0.622 0.491 0.348
8 Li 0.709 0.799 0.339
9 Li 0.904 0.299 0.009
10 Sb 0.102 0.667 0.374
11 Sb 0.264 0.492 0.042
12 Sb 0.361 0.991 0.312
13 Sb 0.433 0.672 0.701
14 Sb 0.525 0.160 0.972
15 Sb 0.696 0.000 0.646
16 Sb 0.778 0.684 0.039
17 Sb 0.852 0.174 0.310
18 Sb 0.934 0.477 0.704
19 P 0.056 0.054 0.456
20 P 0.076 0.634 0.894
21 P 0.211 0.125 0.111
22 P 0.239 0.526 0.564
23 P 0.378 0.033 0.780
24 P 0.415 0.625 0.235
25 P 0.551 0.134 0.453
26 P 0.570 0.544 0.898
27 P 0.713 0.025 0.123
28 P 0.740 0.607 0.559
29 P 0.880 0.129 0.790
30 P 0.915 0.533 0.232
31 O 0.062 0.213 0.414
32 O 0.063 0.469 0.919
33 O 0.066 0.201 0.082
34 O 0.073 0.487 0.276
35 O 0.076 0.031 0.567
36 O 0.079 0.668 0.782
37 O 0.118 0.430 0.617
38 O 0.176 0.951 0.398
39 O 0.220 0.965 0.081
40 O 0.224 0.679 0.948
41 O 0.224 0.693 0.582
42 O 0.235 0.493 0.451
43 O 0.237 0.146 0.227
44 O 0.237 0.960 0.747
45 O 0.277 0.719 0.285
46 O 0.346 0.216 0.060
47 O 0.385 0.194 0.752
48 O 0.389 0.649 0.118
49 O 0.393 0.480 0.613
50 O 0.398 0.179 0.402
51 O 0.399 0.007 0.897
52 O 0.408 0.465 0.266
53 O 0.448 0.448 0.953
54 O 0.516 0.940 0.730
55 O 0.547 0.708 0.914
56 O 0.553 0.172 0.565
57 O 0.556 0.699 0.265
58 O 0.559 0.505 0.784
59 O 0.560 0.982 0.072
60 O 0.570 0.969 0.436
61 O 0.618 0.708 0.617
62 O 0.672 0.231 0.398
63 O 0.703 0.005 0.239
64 O 0.714 0.624 0.448
65 O 0.717 0.174 0.746
66 O 0.725 0.493 0.940
67 O 0.732 0.189 0.095
68 O 0.737 0.446 0.601
69 O 0.796 0.430 0.272
70 O 0.837 0.923 0.079
71 O 0.888 0.138 0.903
72 O 0.894 0.662 0.597
73 O 0.894 0.968 0.750
74 O 0.895 0.695 0.264
75 O 0.900 0.999 0.416
76 O 0.923 0.527 0.114
77 O 0.948 0.731 0.945
78 O 0.990 0.232 0.735



Model two:
Entry from the Materials Project: an optimized crystal structure of Li3Sb3P4O16 (PBE).

## Properties
Size of the total moment (μB per atom): 0.00
V (Å³ per atom): 14.4

Cell lengths 9.118, 9.659, 10.485 Å; angles 108.97, 103.06, 111.24 degrees
Space group P-1 (No. 2)
Unique sites:
1 Li 0.014 0.058 0.208
2 Li 0.258 0.675 0.736
3 Li 0.373 0.418 0.351
4 Sb 0.235 0.820 0.250
5 Sb 0.239 0.480 0.946
6 Sb 0.278 0.034 0.653
7 P 0.019 0.303 0.085
8 P 0.062 0.254 0.578
9 P 0.421 0.240 0.993
10 P 0.459 0.789 0.559
11 O 0.021 0.822 0.077
12 O 0.023 0.867 0.594
13 O 0.094 0.837 0.380
14 O 0.112 0.432 0.616
15 O 0.116 0.269 0.199
16 O 0.142 0.686 0.902
17 O 0.144 0.486 0.103
18 O 0.212 0.229 0.651
19 O 0.262 0.078 0.861
20 O 0.338 0.816 0.636
21 O 0.347 0.072 0.342
22 O 0.373 0.383 0.045
23 O 0.412 0.813 0.417
24 O 0.452 0.706 0.088
25 O 0.460 0.624 0.528
26 O 0.497 0.779 0.879



Which of them is the least stable? Correct choice: model two.